Below is a relaxed structure of Na14Mg5Ge3P12O48, with properties calculated at the GGA-PBE level.

DFT formation energy, eV/atom: -2.649
M_tot, μB/atom: 0.000
Energy with MP2020 corrections, eV/atom: -6.83

Unit cell a=17.680 b=8.844 c=21.685 alpha=90.06 beta=89.89 gamma=119.92
Atoms (fractional coordinates):
Na 0.184 0.361 0.248
Na 0.685 0.363 0.248
Na 0.995 0.631 0.248
Na 0.495 0.630 0.248
Na 0.319 0.631 0.748
Na 0.820 0.631 0.748
Na 0.185 0.010 0.748
Na 0.684 0.010 0.748
Na 0.156 0.341 0.580
Na 0.657 0.342 0.580
Na 0.014 0.686 0.581
Na 0.514 0.686 0.581
Na 0.329 0.972 0.580
Na 0.829 0.971 0.580
Na 0.155 0.970 0.080
Na 0.655 0.968 0.082
Na 0.329 0.686 0.080
Na 0.016 0.344 0.082
Na 0.516 0.342 0.080
Na 0.483 0.670 0.918
Na 0.985 0.674 0.915
Na 0.353 0.038 0.917
Na 0.166 0.293 0.918
Na 0.665 0.300 0.915
Na 0.481 0.295 0.418
Na 0.981 0.294 0.418
Na 0.166 0.037 0.418
Na 0.666 0.037 0.418
Na 0.352 0.667 0.418
Na 0.853 0.667 0.418
Na 0.000 0.000 0.497
Na 0.500 0.000 0.497
Na 0.987 0.990 0.997
Na 0.500 0.001 0.997
Na 0.340 0.334 0.831
Na 0.841 0.324 0.830
Na 0.333 0.320 0.331
Na 0.833 0.320 0.331
Na 0.172 0.678 0.165
Na 0.679 0.680 0.163
Na 0.161 0.657 0.665
Na 0.661 0.656 0.665
Mg 0.999 0.000 0.351
Mg 0.499 0.000 0.351
Mg 0.997 0.001 0.853
Mg 0.500 0.002 0.851
Mg 0.336 0.334 0.685
Mg 0.836 0.334 0.685
Mg 0.333 0.327 0.185
Mg 0.833 0.329 0.186
Mg 0.334 0.333 0.983
Mg 0.334 0.333 0.483
Mg 0.834 0.333 0.483
Mg 0.166 0.666 0.019
Mg 0.670 0.668 0.019
Mg 0.167 0.667 0.518
Mg 0.667 0.667 0.518
Ge 0.000 0.002 0.652
Ge 0.500 0.003 0.652
Ge 0.995 0.995 0.149
Ge 0.499 0.999 0.151
Ge 0.834 0.329 0.983
Ge 0.169 0.672 0.314
Ge 0.669 0.672 0.314
Ge 0.161 0.659 0.815
Ge 0.668 0.667 0.816
P 0.146 0.995 0.251
P 0.647 0.995 0.252
P 0.351 0.711 0.252
P 0.852 0.713 0.252
P 0.001 0.295 0.252
P 0.502 0.296 0.252
P 0.144 0.296 0.753
P 0.645 0.298 0.752
P 0.002 0.707 0.752
P 0.503 0.707 0.753
P 0.352 0.997 0.753
P 0.853 0.997 0.752
P 0.481 0.327 0.585
P 0.981 0.327 0.585
P 0.182 0.038 0.586
P 0.682 0.038 0.586
P 0.337 0.636 0.586
P 0.837 0.636 0.586
P 0.481 0.636 0.086
P 0.976 0.630 0.085
P 0.337 0.038 0.085
P 0.836 0.044 0.085
P 0.181 0.325 0.086
P 0.687 0.331 0.086
P 0.311 0.665 0.916
P 0.812 0.662 0.918
P 0.018 0.374 0.919
P 0.522 0.380 0.917
P 0.167 0.957 0.916
P 0.671 0.962 0.918
P 0.311 0.957 0.417
P 0.811 0.957 0.417
P 0.167 0.378 0.416
P 0.667 0.378 0.416
P 0.022 0.666 0.416
P 0.522 0.666 0.415
O 0.104 0.021 0.308
O 0.604 0.021 0.309
O 0.407 0.792 0.308
O 0.907 0.790 0.309
O 0.492 0.191 0.309
O 0.991 0.192 0.309
O 0.103 0.184 0.809
O 0.604 0.186 0.808
O 0.490 0.791 0.810
O 0.990 0.793 0.809
O 0.404 0.017 0.810
O 0.908 0.018 0.807
O 0.395 0.960 0.694
O 0.892 0.957 0.692
O 0.087 0.211 0.693
O 0.588 0.212 0.692
O 0.021 0.831 0.693
O 0.522 0.831 0.694
O 0.394 0.826 0.192
O 0.896 0.832 0.193
O 0.019 0.209 0.193
O 0.521 0.210 0.192
O 0.083 0.954 0.192
O 0.584 0.957 0.193
O 0.437 0.359 0.639
O 0.937 0.359 0.639
O 0.238 0.121 0.643
O 0.738 0.121 0.643
O 0.322 0.523 0.643
O 0.822 0.523 0.643
O 0.439 0.525 0.143
O 0.936 0.518 0.141
O 0.321 0.125 0.139
O 0.820 0.129 0.140
O 0.238 0.355 0.143
O 0.739 0.351 0.143
O 0.219 0.287 0.028
O 0.728 0.291 0.026
O 0.425 0.563 0.028
O 0.920 0.544 0.024
O 0.357 0.146 0.025
O 0.858 0.170 0.026
O 0.219 0.150 0.528
O 0.719 0.150 0.528
O 0.356 0.562 0.528
O 0.856 0.562 0.528
O 0.427 0.286 0.525
O 0.927 0.286 0.525
O 0.269 0.692 0.973
O 0.767 0.684 0.973
O 0.072 0.456 0.977
O 0.576 0.459 0.975
O 0.153 0.846 0.973
O 0.655 0.850 0.975
O 0.272 0.848 0.475
O 0.772 0.848 0.474
O 0.154 0.461 0.473
O 0.654 0.461 0.473
O 0.077 0.694 0.473
O 0.577 0.694 0.473
O 0.066 0.634 0.356
O 0.566 0.634 0.356
O 0.249 0.867 0.359
O 0.749 0.867 0.359
O 0.183 0.497 0.356
O 0.683 0.497 0.356
O 0.060 0.502 0.861
O 0.569 0.507 0.859
O 0.182 0.867 0.856
O 0.687 0.879 0.858
O 0.250 0.632 0.857
O 0.754 0.623 0.857
O 0.012 0.829 0.410
O 0.512 0.829 0.410
O 0.402 0.975 0.410
O 0.902 0.975 0.410
O 0.086 0.195 0.410
O 0.586 0.195 0.410
O 0.010 0.197 0.911
O 0.513 0.197 0.910
O 0.086 0.979 0.910
O 0.592 0.987 0.911
O 0.403 0.828 0.910
O 0.905 0.814 0.911
O 0.489 0.154 0.593
O 0.989 0.155 0.593
O 0.088 0.022 0.593
O 0.588 0.021 0.593
O 0.423 0.824 0.593
O 0.923 0.823 0.593
O 0.490 0.825 0.092
O 0.986 0.818 0.089
O 0.424 0.024 0.092
O 0.923 0.035 0.090
O 0.087 0.151 0.093
O 0.593 0.155 0.089
O 0.336 0.150 0.745
O 0.835 0.148 0.745
O 0.236 0.323 0.745
O 0.737 0.322 0.745
O 0.423 0.529 0.744
O 0.922 0.529 0.744
O 0.339 0.527 0.245
O 0.839 0.529 0.244
O 0.425 0.327 0.244
O 0.925 0.329 0.245
O 0.235 0.155 0.243
O 0.736 0.156 0.244
O 0.319 0.499 0.917
O 0.818 0.486 0.922
O 0.432 0.365 0.917
O 0.926 0.367 0.923
O 0.251 0.137 0.917
O 0.756 0.150 0.923
O 0.319 0.138 0.418
O 0.819 0.138 0.418
O 0.251 0.363 0.417
O 0.751 0.363 0.417
O 0.431 0.499 0.417
O 0.931 0.500 0.417
O 0.168 0.484 0.081
O 0.670 0.483 0.078
O 0.069 0.657 0.078
O 0.574 0.662 0.081
O 0.258 0.851 0.080
O 0.756 0.864 0.076
O 0.168 0.852 0.581
O 0.668 0.852 0.581
O 0.257 0.663 0.581
O 0.757 0.663 0.581
O 0.074 0.484 0.580
O 0.574 0.484 0.580
O 0.150 0.819 0.254
O 0.650 0.820 0.254
O 0.257 0.692 0.255
O 0.758 0.693 0.255
O 0.089 0.482 0.253
O 0.590 0.482 0.253
O 0.152 0.484 0.756
O 0.655 0.486 0.755
O 0.090 0.699 0.755
O 0.591 0.702 0.756
O 0.259 0.821 0.754
O 0.759 0.820 0.755



Below is a relaxed structure of Na3Mg3GePS5O24, with properties calculated at the GGA-PBE level.

DFT formation energy, eV/atom: -2.289
M_tot, μB/atom: 0.000
Energy with MP2020 corrections, eV/atom: -6.57

Unit cell a=8.653 b=8.630 c=22.304 alpha=90.37 beta=89.78 gamma=120.38
Atoms (fractional coordinates):
Na 0.362 0.362 0.252
Na 0.027 0.698 0.585
Na 0.300 0.966 0.080
Na 0.992 0.002 0.500
Na 0.998 0.007 0.993
Na 0.666 0.330 0.831
Na 0.676 0.332 0.334
Na 0.333 0.666 0.168
Na 0.350 0.664 0.667
Mg 0.996 0.998 0.353
Mg 0.005 0.005 0.853
Mg 0.991 0.000 0.650
Mg 0.991 0.998 0.149
Mg 0.662 0.336 0.687
Mg 0.675 0.335 0.186
Mg 0.331 0.662 0.016
Mg 0.344 0.666 0.518
Mg 0.334 0.675 0.319
Ge 0.673 0.328 0.975
Ge 0.668 0.339 0.485
Ge 0.323 0.669 0.819
P 0.663 0.623 0.584
P 0.043 0.376 0.918
P 0.332 0.958 0.920
S 0.292 0.997 0.249
S 0.707 0.708 0.250
S 0.999 0.293 0.251
S 0.293 0.299 0.752
S 0.004 0.706 0.751
S 0.700 0.995 0.753
S 0.954 0.330 0.583
S 0.379 0.046 0.583
S 0.954 0.620 0.082
S 0.669 0.045 0.082
S 0.381 0.338 0.083
S 0.623 0.664 0.918
S 0.628 0.968 0.419
S 0.337 0.370 0.417
S 0.035 0.663 0.419
O 0.208 0.030 0.301
O 0.815 0.789 0.304
O 0.974 0.184 0.304
O 0.210 0.191 0.805
O 0.980 0.793 0.804
O 0.808 0.020 0.806
O 0.773 0.961 0.698
O 0.186 0.224 0.697
O 0.038 0.810 0.695
O 0.786 0.813 0.196
O 0.033 0.214 0.196
O 0.189 0.972 0.193
O 0.872 0.362 0.635
O 0.490 0.126 0.635
O 0.639 0.506 0.638
O 0.871 0.512 0.135
O 0.635 0.126 0.135
O 0.484 0.360 0.138
O 0.464 0.299 0.029
O 0.840 0.538 0.026
O 0.700 0.158 0.027
O 0.460 0.157 0.526
O 0.710 0.539 0.525
O 0.839 0.295 0.526
O 0.545 0.690 0.972
O 0.151 0.458 0.974
O 0.314 0.858 0.977
O 0.545 0.860 0.472
O 0.311 0.456 0.470
O 0.139 0.687 0.474
O 0.114 0.631 0.366
O 0.521 0.894 0.364
O 0.370 0.476 0.362
O 0.124 0.499 0.860
O 0.377 0.876 0.862
O 0.508 0.625 0.863
O 0.012 0.819 0.412
O 0.809 0.992 0.412
O 0.179 0.189 0.411
O 0.011 0.189 0.909
O 0.172 0.979 0.910
O 0.801 0.819 0.909
O 0.974 0.173 0.587
O 0.200 0.029 0.587
O 0.840 0.807 0.586
O 0.976 0.802 0.086
O 0.829 0.029 0.087
O 0.201 0.171 0.087
O 0.677 0.151 0.746
O 0.473 0.322 0.746
O 0.849 0.524 0.746
O 0.681 0.523 0.244
O 0.841 0.312 0.244
O 0.472 0.163 0.244
O 0.639 0.495 0.923
O 0.852 0.364 0.923
O 0.510 0.153 0.924
O 0.645 0.154 0.426
O 0.505 0.354 0.424
O 0.850 0.491 0.424
O 0.364 0.497 0.077
O 0.135 0.643 0.077
O 0.506 0.866 0.076
O 0.353 0.864 0.575
O 0.499 0.640 0.576
O 0.129 0.497 0.574
O 0.311 0.838 0.256
O 0.523 0.683 0.256
O 0.165 0.474 0.257
O 0.311 0.486 0.759
O 0.175 0.693 0.758
O 0.514 0.823 0.759